The following is a DFT calculation (PBE+U) of a relaxed structure of Li3CoB2O6.

Results
- VASP energy (eV/atom) = -6.507
- E above lowest polymorph (eV per atom) = 0.0281

Cell and atoms, written as extended XYZ:
```
48
Lattice="5.1692 0.0000 0.0000 0.0000 8.8577 0.0000 -4.9927 0.0000 9.7864" Properties=species:S:1:pos:R:3 pbc="T T T"
Li -0.8080 0.2004 1.6402
Li -3.3044 4.2285 6.5334
Li -4.1466 5.8532 8.6333
Li -1.6503 7.4334 3.7401
Li -0.8046 0.0927 5.8793
Li 1.6917 4.3361 0.9861
Li -1.5151 4.5216 8.8003
Li 0.9812 8.7650 3.9071
Li 1.8268 1.4243 6.0463
Li 4.3231 3.0045 1.1531
Li 3.4809 4.6292 3.2530
Li 0.9846 8.6573 8.1462
Co -0.6797 5.9064 6.1045
Co 1.8166 7.3801 1.2113
Co -1.6401 1.4776 8.5751
Co 0.8563 2.9513 3.6819
B -1.6586 1.5604 3.7119
B -4.1549 2.8684 8.6051
B 1.7633 1.4585 1.2672
B -0.7330 2.9703 6.1604
B 0.9096 5.8874 3.6260
B -1.5868 7.3992 8.5192
B 4.3315 5.9893 1.1813
B 1.8351 7.2973 6.0745
O -3.5556 1.6393 8.3268
O -1.0592 2.7896 3.4336
O -0.9068 0.4094 3.7272
O -3.4031 4.0194 8.6204
O 0.5290 5.9398 0.9302
O -1.9673 7.3467 5.8234
O -0.3994 5.9378 4.0680
O -2.8957 7.3488 8.9612
O 1.1088 0.2174 1.3528
O -1.3875 4.2115 6.2460
O -1.4417 1.8448 6.5274
O 1.0547 2.5841 1.6342
O -0.8781 6.2736 8.1522
O 1.6182 7.0129 3.2590
O 1.5641 4.6462 3.5404
O -0.9323 8.6403 8.4336
O 3.0723 1.5089 0.8252
O 0.5759 2.9199 5.7184
O 2.1438 1.5110 3.9630
O -0.3525 2.9179 8.8562
O 3.5797 4.8383 1.1660
O 1.0833 8.4483 6.0592
O 1.2358 6.0681 6.3528
O 3.7321 7.2184 1.4596
```